(1)
The following is a PBE-GGA calculation of Na5MgZr3SiP5O24 after structural relaxation, from the Materials Project.

The structure in CIF format:
```
data_Na5MgZr3SiP5O24
_cell_length_a 9.0452
_cell_length_b 9.0743
_cell_length_c 22.8351
_cell_angle_alpha 89.85
_cell_angle_beta 90.00
_cell_angle_gamma 60.11
_space_group_name_H-M_alt 'P 1'
_space_group_IT_number 1
loop_
_space_group_symop_operation_xyz
'x,y,z'
loop_
_atom_site_label
_atom_site_type_symbol
_atom_site_fract_x
_atom_site_fract_y
_atom_site_fract_z
Na1 Na 0.0000 0.0000 0.0000
Na2 Na 0.0001 0.2642 0.4994
Na3 Na 0.0188 0.3165 0.1700
Na4 Na 0.2924 0.3097 0.6791
Na5 Na 0.3241 0.9637 0.5943
Na6 Na 0.3311 0.9639 0.0868
Na7 Na 0.3462 0.2705 0.9999
Na8 Na 0.3510 0.6520 0.5033
Na9 Na 0.6136 0.0062 0.5028
Na10 Na 0.6174 0.6542 0.0004
Na11 Na 0.6491 0.3187 0.4180
Na12 Na 0.6549 0.3088 0.9162
Na13 Na 0.9620 0.9796 0.3411
Na14 Na 0.9770 0.6572 0.7591
Na15 Na 0.9877 0.6422 0.2483
Mg1 Mg 0.3197 0.9767 0.4368
Mg2 Mg 0.3219 0.9742 0.9365
Mg3 Mg 0.9862 0.6499 0.1082
Zr1 Zr 0.3244 0.9654 0.7399
Zr2 Zr 0.3252 0.9749 0.2383
Zr3 Zr 0.6491 0.3142 0.2752
Zr4 Zr 0.6515 0.3089 0.0723
Zr5 Zr 0.6521 0.3069 0.7772
Zr6 Zr 0.6528 0.3101 0.5751
Zr7 Zr 0.9812 0.6508 0.6128
Zr8 Zr 0.9885 0.6318 0.3995
Zr9 Zr 0.9886 0.6422 0.9020
Si1 Si 0.0288 0.2648 0.3413
Si2 Si 0.3610 0.6054 0.6727
Si3 Si 0.6513 0.0152 0.6740
P1 P 0.0276 0.9776 0.8441
P2 P 0.2767 0.6455 0.0085
P3 P 0.2815 0.3465 0.5070
P4 P 0.3203 0.2670 0.8422
P5 P 0.3234 0.6846 0.3432
P6 P 0.3537 0.3124 0.1722
P7 P 0.6117 0.9776 0.3432
P8 P 0.6135 0.6812 0.8440
P9 P 0.6566 0.6047 0.1717
P10 P 0.6917 0.6437 0.5055
P11 P 0.6953 0.9307 0.0083
P12 P 0.9481 0.3074 0.6735
P13 P 0.9487 0.0092 0.1739
P14 P 0.9903 0.3489 0.0096
P15 P 0.9898 0.9356 0.5046
O1 O 0.0073 0.4558 0.3439
O2 O 0.0083 0.8152 0.8462
O3 O 0.0088 0.8207 0.5580
O4 O 0.0155 0.4277 0.0650
O5 O 0.1047 0.1526 0.3998
O6 O 0.1072 0.9963 0.9002
O7 O 0.1237 0.0049 0.1782
O8 O 0.1284 0.1515 0.6792
O9 O 0.1390 0.9556 0.7894
O10 O 0.1429 0.1741 0.2824
O11 O 0.1447 0.1690 0.0014
O12 O 0.1509 0.9513 0.5025
O13 O 0.1545 0.6763 0.3461
O14 O 0.1583 0.4485 0.8459
O15 O 0.1656 0.6722 0.0615
O16 O 0.1736 0.4307 0.5621
O17 O 0.1751 0.4659 0.1686
O18 O 0.1784 0.6090 0.6663
O19 O 0.1908 0.4660 0.4539
O20 O 0.1964 0.6104 0.9533
O21 O 0.2960 0.8006 0.2895
O22 O 0.2985 0.1843 0.7857
O23 O 0.3033 0.1685 0.5010
O24 O 0.3050 0.7987 0.0010
O25 O 0.3356 0.7939 0.6786
O26 O 0.3402 0.1472 0.1771
O27 O 0.3403 0.1649 0.8975
O28 O 0.3501 0.7570 0.3997
O29 O 0.4507 0.3272 0.2255
O30 O 0.4565 0.4765 0.7266
O31 O 0.4594 0.4789 0.0130
O32 O 0.4612 0.3336 0.5096
O33 O 0.4637 0.2882 0.1164
O34 O 0.4708 0.5216 0.6117
O35 O 0.4737 0.0116 0.6792
O36 O 0.4752 0.5032 0.3336
O37 O 0.4797 0.2896 0.8363
O38 O 0.4948 0.7800 0.1782
O39 O 0.5134 0.7595 0.8998
O40 O 0.5133 0.9590 0.0004
O41 O 0.5141 0.8010 0.5006
O42 O 0.5137 0.9992 0.3995
O43 O 0.5242 0.7938 0.7891
O44 O 0.5255 0.9510 0.2889
O45 O 0.6241 0.1285 0.6134
O46 O 0.6309 0.5184 0.1162
O47 O 0.6364 0.1346 0.3344
O48 O 0.6361 0.5020 0.8355
O49 O 0.6763 0.4868 0.2247
O50 O 0.6792 0.1132 0.0135
O51 O 0.6804 0.1107 0.7285
O52 O 0.6798 0.4776 0.5093
O53 O 0.7777 0.8196 0.0615
O54 O 0.7809 0.6659 0.5596
O55 O 0.7942 0.6643 0.8463
O56 O 0.7975 0.8216 0.3458
O57 O 0.8085 0.6156 0.4519
O58 O 0.8116 0.8508 0.9535
O59 O 0.8166 0.8262 0.6679
O60 O 0.8211 0.6114 0.1679
O61 O 0.8237 0.3320 0.0130
O62 O 0.8274 0.1157 0.5106
O63 O 0.8337 0.3344 0.7259
O64 O 0.8385 0.2827 0.3325
O65 O 0.8395 0.1036 0.2287
O66 O 0.8484 0.1362 0.8364
O67 O 0.8600 0.1290 0.1196
O68 O 0.8681 0.2833 0.6160
O69 O 0.9569 0.4686 0.9560
O70 O 0.9590 0.8553 0.4495
O71 O 0.9663 0.8357 0.1686
O72 O 0.9717 0.4644 0.6664
```

Computed properties:
- Formation energy from the elements: -3.031 eV/atom
- VASP energy: -7.354 eV/atom
- Volume: 1625.02 Å³ per cell
- SG: P1

---

(2)
The following is a PBE-GGA calculation of Na7MgZr3Si3P3O24 after structural relaxation, from the Materials Project.

The structure in CIF format:
```
data_Na7MgZr3Si3P3O24
_cell_length_a 9.1478
_cell_length_b 9.1538
_cell_length_c 22.9051
_cell_angle_alpha 90.11
_cell_angle_beta 90.03
_cell_angle_gamma 119.92
_space_group_name_H-M_alt 'P 1'
_space_group_IT_number 1
loop_
_space_group_symop_operation_xyz
'x,y,z'
loop_
_atom_site_label
_atom_site_type_symbol
_atom_site_fract_x
_atom_site_fract_y
_atom_site_fract_z
Na1 Na 0.0000 0.0000 0.0000
Na2 Na 0.0000 0.6496 0.2490
Na3 Na 0.0242 0.9634 0.6655
Na4 Na 0.0260 0.3395 0.1628
Na5 Na 0.2839 0.9600 0.1621
Na6 Na 0.2906 0.6077 0.6634
Na7 Na 0.3315 0.2981 0.0799
Na8 Na 0.3316 0.3081 0.5812
Na9 Na 0.3398 0.9399 0.8314
Na10 Na 0.3570 0.6378 0.9973
Na11 Na 0.3585 0.9998 0.4977
Na12 Na 0.6314 0.6333 0.4997
Na13 Na 0.6566 0.9633 0.4131
Na14 Na 0.6593 0.9756 0.9097
Na15 Na 0.6712 0.3429 0.6637
Na16 Na 0.6741 0.6099 0.1643
Na17 Na 0.6929 0.3052 0.3336
Na18 Na 0.6934 0.6787 0.8306
Na19 Na 0.9541 0.2938 0.8307
Na20 Na 0.9949 0.6366 0.7484
Na21 Na 0.9978 0.2815 0.4997
Mg1 Mg 0.6624 0.9705 0.7691
Mg2 Mg 0.9939 0.6323 0.5965
Mg3 Mg 0.9962 0.6452 0.0976
Zr1 Zr 0.0002 0.6400 0.8972
Zr2 Zr 0.0027 0.6432 0.3963
Zr3 Zr 0.3261 0.2980 0.2333
Zr4 Zr 0.3291 0.3047 0.7344
Zr5 Zr 0.3344 0.2997 0.9324
Zr6 Zr 0.3368 0.3100 0.4323
Zr7 Zr 0.6586 0.9713 0.5644
Zr8 Zr 0.6617 0.9598 0.2695
Zr9 Zr 0.6641 0.9786 0.0627
Si1 Si 0.0305 0.0094 0.8323
Si2 Si 0.2846 0.6355 0.5021
Si3 Si 0.2877 0.9309 0.0019
Si4 Si 0.3279 0.0063 0.3325
Si5 Si 0.3324 0.6017 0.8330
Si6 Si 0.6263 0.3016 0.8311
Si7 Si 0.6255 0.5995 0.3318
Si8 Si 0.7066 0.3490 0.5007
Si9 Si 0.9568 0.9672 0.1645
P1 P 0.0355 0.3043 0.3325
P2 P 0.3668 0.9678 0.6672
P3 P 0.3684 0.6785 0.1648
P4 P 0.6652 0.2655 0.1665
P5 P 0.6661 0.6801 0.6669
P6 P 0.7034 0.6353 0.0014
P7 P 0.9535 0.2648 0.6671
P8 P 0.9958 0.3484 0.0011
P9 P 0.9962 0.9274 0.5012
O1 O 0.0135 0.4603 0.3378
O2 O 0.0190 0.8252 0.8390
O3 O 0.0234 0.4558 0.0552
O4 O 0.0287 0.8530 0.5557
O5 O 0.1172 0.2768 0.3869
O6 O 0.1229 0.1304 0.8890
O7 O 0.1331 0.2792 0.6699
O8 O 0.1423 0.1432 0.1706
O9 O 0.1453 0.3298 0.2777
O10 O 0.1510 0.1072 0.4923
O11 O 0.1553 0.3286 0.9941
O12 O 0.1568 0.0946 0.7753
O13 O 0.1568 0.6095 0.8382
O14 O 0.1607 0.8235 0.3375
O15 O 0.1724 0.8477 0.0580
O16 O 0.1736 0.6031 0.5593
O17 O 0.1898 0.8138 0.6591
O18 O 0.1916 0.6559 0.1595
O19 O 0.2023 0.6751 0.4451
O20 O 0.2044 0.8132 0.9428
O21 O 0.2927 0.4766 0.7755
O22 O 0.3004 0.1155 0.9939
O23 O 0.3019 0.0985 0.2747
O24 O 0.3057 0.4677 0.4931
O25 O 0.3536 0.1331 0.6697
O26 O 0.3556 0.5026 0.1716
O27 O 0.3598 0.1279 0.3893
O28 O 0.3597 0.5100 0.8898
O29 O 0.4525 0.9421 0.7198
O30 O 0.4560 0.7951 0.2177
O31 O 0.4729 0.9404 0.0059
O32 O 0.4780 0.8032 0.5064
O33 O 0.4813 0.9992 0.6115
O34 O 0.4834 0.7612 0.1107
O35 O 0.4961 0.7836 0.8259
O36 O 0.5000 0.2719 0.8858
O37 O 0.5015 0.5010 0.6698
O38 O 0.5030 0.2819 0.1711
O39 O 0.5056 0.0069 0.3250
O40 O 0.5080 0.5114 0.3894
O41 O 0.5127 0.3190 0.4931
O42 O 0.5211 0.4861 0.9940
O43 O 0.5347 0.4794 0.2746
O44 O 0.5397 0.3414 0.7742
O45 O 0.6299 0.1459 0.1135
O46 O 0.6349 0.7623 0.6112
O47 O 0.6412 0.1356 0.8254
O48 O 0.6407 0.7834 0.3270
O49 O 0.6854 0.1574 0.5064
O50 O 0.6872 0.7990 0.0064
O51 O 0.6903 0.7899 0.7200
O52 O 0.6906 0.1813 0.2208
O53 O 0.7817 0.4629 0.5578
O54 O 0.7833 0.6098 0.0555
O55 O 0.8042 0.6035 0.3385
O56 O 0.8077 0.4748 0.8389
O57 O 0.8134 0.6671 0.9459
O58 O 0.8214 0.4281 0.4419
O59 O 0.8221 0.4390 0.1588
O60 O 0.8228 0.6604 0.6597
O61 O 0.8319 0.9434 0.2192
O62 O 0.8361 0.9478 0.5068
O63 O 0.8409 0.1656 0.0055
O64 O 0.8433 0.1791 0.7199
O65 O 0.8487 0.9924 0.8259
O66 O 0.8567 0.1497 0.3252
O67 O 0.8685 0.0047 0.1081
O68 O 0.8719 0.1511 0.6113
O69 O 0.9622 0.8142 0.4472
O70 O 0.9685 0.4267 0.9452
O71 O 0.9730 0.8001 0.1614
O72 O 0.9746 0.4414 0.6604
```

Computed properties:
- Formation energy from the elements: -3.011 eV/atom
- VASP energy: -7.188 eV/atom
- Volume: 1662.37 Å³ per cell
- SG: P1

---

(3)
The following is a PBE-GGA calculation of Na3MgSnP3O12 after structural relaxation, from the Materials Project.

The structure in CIF format:
```
data_Na3MgSnP3O12
_cell_length_a 8.9653
_cell_length_b 8.9653
_cell_length_c 22.1256
_cell_angle_alpha 90.11
_cell_angle_beta 90.11
_cell_angle_gamma 59.99
_space_group_name_H-M_alt 'P 1'
_space_group_IT_number 1
loop_
_space_group_symop_operation_xyz
'x,y,z'
loop_
_atom_site_label
_atom_site_type_symbol
_atom_site_fract_x
_atom_site_fract_y
_atom_site_fract_z
Na1 Na 0.0017 0.9983 0.5000
Na2 Na 0.0327 0.3096 0.4141
Na3 Na 0.3045 0.6573 0.4141
Na4 Na 0.3096 0.0327 0.9141
Na5 Na 0.3209 0.7003 0.0806
Na6 Na 0.3281 0.3353 0.8333
Na7 Na 0.3353 0.3281 0.3333
Na8 Na 0.3663 0.6390 0.7470
Na9 Na 0.3680 0.9852 0.2484
Na10 Na 0.6390 0.3663 0.2470
Na11 Na 0.6487 0.6990 0.6666
Na12 Na 0.6573 0.3045 0.9141
Na13 Na 0.6990 0.6487 0.1666
Na14 Na 0.7003 0.3209 0.5806
Na15 Na 0.7006 0.9718 0.0810
Na16 Na 0.9718 0.7006 0.5810
Na17 Na 0.9852 0.3680 0.7484
Na18 Na 0.9983 0.0017 0.0000
Mg1 Mg 0.0036 0.9971 0.6422
Mg2 Mg 0.3236 0.3381 0.9757
Mg3 Mg 0.3381 0.3236 0.4757
Mg4 Mg 0.6675 0.6709 0.8091
Mg5 Mg 0.6709 0.6675 0.3091
Mg6 Mg 0.9971 0.0036 0.1422
Sn1 Sn 0.3221 0.3374 0.1763
Sn2 Sn 0.3374 0.3221 0.6763
Sn3 Sn 0.6613 0.6726 0.5096
Sn4 Sn 0.6726 0.6613 0.0096
Sn5 Sn 0.9924 0.9970 0.3430
Sn6 Sn 0.9970 0.9924 0.8430
P1 P 0.0004 0.6997 0.7388
P2 P 0.0006 0.2917 0.2440
P3 P 0.0334 0.3339 0.5742
P4 P 0.0348 0.6272 0.0758
P5 P 0.2917 0.0006 0.7440
P6 P 0.2937 0.6991 0.2421
P7 P 0.3339 0.0334 0.0742
P8 P 0.3351 0.6263 0.5748
P9 P 0.3658 0.9616 0.4058
P10 P 0.3686 0.6671 0.9083
P11 P 0.6263 0.3351 0.0748
P12 P 0.6272 0.0348 0.5758
P13 P 0.6671 0.3686 0.4083
P14 P 0.6682 0.9599 0.9108
P15 P 0.6991 0.2937 0.7421
P16 P 0.6997 0.0004 0.2388
P17 P 0.9599 0.6682 0.4108
P18 P 0.9616 0.3658 0.9058
O1 O 0.0027 0.1815 0.5814
O2 O 0.0122 0.8087 0.0822
O3 O 0.0378 0.1818 0.3044
O4 O 0.0433 0.7782 0.7959
O5 O 0.1052 0.5220 0.1362
O6 O 0.1129 0.3685 0.6331
O7 O 0.1370 0.3199 0.5184
O8 O 0.1425 0.5098 0.4156
O9 O 0.1437 0.3364 0.9143
O10 O 0.1511 0.5356 0.0231
O11 O 0.1700 0.5144 0.7376
O12 O 0.1714 0.3003 0.2394
O13 O 0.1759 0.8036 0.5824
O14 O 0.1813 0.9758 0.4055
O15 O 0.1815 0.0027 0.0814
O16 O 0.1818 0.0378 0.8044
O17 O 0.1876 0.7785 0.3020
O18 O 0.1878 0.8366 0.9055
O19 O 0.1965 0.9768 0.6920
O20 O 0.2026 0.8094 0.1873
O21 O 0.3003 0.1714 0.7394
O22 O 0.3143 0.5363 0.5197
O23 O 0.3190 0.5122 0.2401
O24 O 0.3199 0.1370 0.0184
O25 O 0.3364 0.1437 0.4143
O26 O 0.3520 0.5070 0.9162
O27 O 0.3685 0.1129 0.1331
O28 O 0.3722 0.5097 0.6334
O29 O 0.4469 0.8402 0.4625
O30 O 0.4476 0.7047 0.9671
O31 O 0.4659 0.8764 0.3489
O32 O 0.4706 0.8423 0.7509
O33 O 0.4751 0.6774 0.2475
O34 O 0.4792 0.6460 0.8533
O35 O 0.5042 0.8493 0.0730
O36 O 0.5049 0.6374 0.5718
O37 O 0.5070 0.3520 0.4162
O38 O 0.5098 0.1425 0.9156
O39 O 0.5097 0.3722 0.1334
O40 O 0.5122 0.3190 0.7401
O41 O 0.5144 0.1700 0.2376
O42 O 0.5220 0.1052 0.6362
O43 O 0.5356 0.1511 0.5231
O44 O 0.5363 0.3143 0.0197
O45 O 0.6374 0.5049 0.0718
O46 O 0.6445 0.8633 0.8594
O47 O 0.6460 0.4792 0.3533
O48 O 0.6509 0.8487 0.5722
O49 O 0.6717 0.8470 0.2477
O50 O 0.6774 0.4751 0.7475
O51 O 0.6978 0.8598 0.9725
O52 O 0.7047 0.4476 0.4671
O53 O 0.7782 0.0433 0.2959
O54 O 0.7785 0.1876 0.8020
O55 O 0.8003 0.9846 0.1821
O56 O 0.8036 0.1759 0.0824
O57 O 0.8087 0.0122 0.5822
O58 O 0.8094 0.2026 0.6873
O59 O 0.8306 0.9832 0.9062
O60 O 0.8366 0.1878 0.4055
O61 O 0.8402 0.4469 0.9625
O62 O 0.8423 0.4706 0.2509
O63 O 0.8470 0.6717 0.7477
O64 O 0.8493 0.5042 0.5730
O65 O 0.8487 0.6509 0.0722
O66 O 0.8598 0.6978 0.4725
O67 O 0.8633 0.6445 0.3594
O68 O 0.8764 0.4659 0.8489
O69 O 0.9758 0.1813 0.9055
O70 O 0.9768 0.1965 0.1920
O71 O 0.9832 0.8306 0.4062
O72 O 0.9846 0.8003 0.6821
```

Computed properties:
- Formation energy from the elements: -2.649 eV/atom
- VASP energy: -6.497 eV/atom
- Volume: 1539.93 Å³ per cell
- SG: Cc

---

Look up the VASP energy of the third one.
-6.497 eV/atom

---

Which of these has the lowest VASP energy?
Na5MgZr3SiP5O24